[1]
DFT (PBE) results for crystalline Na5Li3Ti5O14 at its relaxed geometry.

Lattice parameters (Å, degrees): 5.234 7.042 8.266 90.37 101.44 97.32
Space group P1 (No. 1)
Inequivalent atoms, fractional coordinates:
Na 0.000 0.000 0.000 [1 per cell]
Na 0.144 0.309 0.312 [1 per cell]
Na 0.397 0.846 0.849 [1 per cell]
Na 0.560 0.136 0.142 [1 per cell]
Na 0.838 0.712 0.714 [1 per cell]
Li 0.055 0.151 0.642 [1 per cell]
Li 0.345 0.706 0.219 [1 per cell]
Li 0.705 0.442 0.441 [1 per cell]
Ti 0.185 0.429 0.925 [1 per cell]
Ti 0.495 0.987 0.496 [1 per cell]
Ti 0.611 0.279 0.769 [1 per cell]
Ti 0.761 0.576 0.087 [1 per cell]
Ti 0.934 0.858 0.369 [1 per cell]
O 0.084 0.673 0.980 [1 per cell]
O 0.167 0.881 0.575 [1 per cell]
O 0.237 0.981 0.285 [1 per cell]
O 0.319 0.179 0.876 [1 per cell]
O 0.432 0.267 0.554 [1 per cell]
O 0.455 0.448 0.153 [1 per cell]
O 0.524 0.536 0.853 [1 per cell]
O 0.613 0.752 0.455 [1 per cell]
O 0.695 0.827 0.123 [1 per cell]
O 0.702 0.025 0.731 [1 per cell]
O 0.795 0.103 0.404 [1 per cell]
O 0.891 0.313 0.021 [1 per cell]
O 0.944 0.404 0.715 [1 per cell]
O 0.971 0.592 0.306 [1 per cell]

Values from the calculation:
Energy relative to the lowest polymorph listed for this composition: 0.00 eV/f.u.
Magnetic moment: 0.000 Bohr magnetons per cell
ΔH_f (0 K): -78.7 eV per formula unit


[2]
DFT (PBE) results for crystalline NaLiTi3O7 at its relaxed geometry.

Lattice parameters (Å, degrees): 16.630 11.336 11.545 90.00 90.00 90.00
Space group Cmce (No. 64)
Inequivalent atoms, fractional coordinates:
Na 0.000 0.119 0.129 [8 per cell]
Na 0.000 0.120 0.625 [8 per cell]
Li 0.184 0.250 0.125 [16 per cell]
Ti 0.109 0.123 0.374 [16 per cell]
Ti 0.109 0.123 0.876 [16 per cell]
Ti 0.249 0.000 0.500 [8 per cell]
Ti 0.250 0.000 0.250 [8 per cell]
O 0.000 0.085 0.374 [8 per cell]
O 0.000 0.085 0.876 [8 per cell]
O 0.106 0.250 0.263 [16 per cell]
O 0.107 0.250 0.487 [16 per cell]
O 0.131 0.000 0.500 [8 per cell]
O 0.132 0.000 0.000 [8 per cell]
O 0.132 0.001 0.250 [16 per cell]
O 0.236 0.116 0.375 [16 per cell]
O 0.236 0.116 0.875 [16 per cell]

Values from the calculation:
Magnetic moment: 0.007 Bohr magnetons per cell
ΔH_f (0 K): -38.5 eV per formula unit


[3]
DFT (PBE) results for crystalline NaLiTi3O7 at its relaxed geometry.

Lattice parameters (Å, degrees): 5.770 11.335 16.640 90.00 90.00 90.00
Space group Fmmm (No. 69)
Inequivalent atoms, fractional coordinates:
Na 0.000 0.131 0.000 [8 per cell]
Li 0.000 0.000 0.183 [8 per cell]
Ti 0.000 0.127 0.391 [16 per cell]
Ti 0.250 0.250 0.250 [8 per cell]
O 0.000 0.134 0.264 [16 per cell]
O 0.000 0.166 0.500 [8 per cell]
O 0.224 0.000 0.394 [16 per cell]
O 0.250 0.250 0.132 [16 per cell]

Values from the calculation:
Magnetic moment: 0.003 Bohr magnetons per cell
ΔH_f (0 K): -38.5 eV per formula unit